Model one:
Density functional theory data (PBE) for a relaxed Zr3Sc4N8 crystal.

Computed properties:
Size of the total moment = 0.002 μB per cell
SG = R-3m (166)

Lattice parameters (Å, degrees): 17.842 17.842 17.842 11.36 11.36 11.36
Atoms (fractional coordinates):
Zr1 0.115 0.115 0.115
Sc1 0.267 0.267 0.267
Zr2 0.500 0.500 0.500
Sc2 0.645 0.645 0.645
Sc3 0.733 0.733 0.733
N1 0.812 0.812 0.812
N2 0.064 0.064 0.064
Sc4 0.355 0.355 0.355
Zr3 0.885 0.885 0.885
N3 0.563 0.563 0.563
N4 0.437 0.437 0.437
N5 0.687 0.687 0.687
N6 0.188 0.188 0.188
N7 0.936 0.936 0.936
N8 0.313 0.313 0.313

***

Model two:
Density functional theory data (PBE) for a relaxed Zr3Sc4N8 crystal.

Computed properties:
Size of the total moment = 1.821 μB per cell
SG = R-3m (166)

Lattice parameters (Å, degrees): 3.301 3.301 25.583 58.93 58.93 60.00
Atoms (fractional coordinates):
N1 0.496 0.496 0.189
Zr1 0.985 0.985 0.630
N2 0.508 0.508 0.434
N3 0.499 0.499 0.313
N4 0.504 0.504 0.811
N5 0.523 0.523 0.929
Zr2 0.015 0.015 0.370
N6 0.477 0.477 0.071
Sc1 0.961 0.961 0.765
N7 0.501 0.501 0.687
Sc2 0.050 0.050 0.106
Sc3 0.039 0.039 0.235
N8 0.492 0.492 0.566
Zr3 0.000 0.000 0.500
Sc4 0.950 0.950 0.894

***

Top of the stability list: model one, leading by 0.016 eV/atom.

***

Model one:
Density functional theory data (PBE) for a relaxed TaSeN crystal.

Computed properties:
Size of the total moment = 0.000 μB per cell
SG = P4/nmm (129)

Lattice parameters (Å, degrees): 3.648 3.648 6.380 90.00 90.00 90.00
Atoms (fractional coordinates):
Se1 0.000 0.500 0.380
Ta1 0.500 0.000 0.173
Se2 0.500 0.000 0.620
N1 0.000 0.000 0.000
Ta2 0.000 0.500 0.827
N2 0.500 0.500 0.000

***

Model two:
Density functional theory data (PBE) for a relaxed TaSeN crystal.

Computed properties:
Size of the total moment = 0.002 μB per cell
SG = C2/m (12)

Lattice parameters (Å, degrees): 7.089 3.973 9.323 90.00 68.79 73.73
Atoms (fractional coordinates):
Ta1 0.364 0.318 0.142
N1 0.084 0.458 0.124
N2 0.916 0.542 0.876
Se1 0.671 0.164 0.290
Ta2 0.636 0.682 0.858
N3 0.471 0.765 0.114
N4 0.529 0.235 0.886
Ta3 0.209 0.395 0.887
Se2 0.329 0.836 0.710
Se3 0.809 0.596 0.556
Ta4 0.791 0.605 0.113
Se4 0.191 0.404 0.444

***

Top of the stability list: model one, leading by 0.030 eV/atom.

***

Model one:
Density functional theory data (PBE) for a relaxed Si3N4 crystal.

Computed properties:
Size of the total moment = 0.000 μB per cell
SG = P1 (1)

Lattice parameters (Å, degrees): 10.518 10.837 10.558 89.04 87.75 91.09
Atoms (fractional coordinates):
Si1 0.693 0.564 0.153
N1 0.624 0.724 0.870
Si2 0.073 0.130 0.808
Si3 0.419 0.754 0.906
Si4 0.224 0.943 0.165
N2 0.915 0.166 0.325
N3 0.615 0.703 0.152
N4 0.477 0.349 0.074
N5 0.335 0.042 0.074
Si5 0.650 0.794 0.016
Si6 0.976 0.428 0.394
N6 0.740 0.924 0.717
N7 0.246 0.715 0.917
Si7 0.752 0.993 0.567
Si8 0.430 0.922 0.766
Si9 0.964 0.550 0.873
N8 0.449 0.590 0.933
N9 0.183 0.008 0.738
N10 0.793 0.357 0.694
Si10 0.951 0.953 0.999
Si11 0.974 0.485 0.141
N11 0.342 0.617 0.686
N12 0.443 0.595 0.462
Si12 0.302 0.576 0.839
N13 0.291 0.005 0.777
Si13 0.478 0.009 0.012
N14 0.674 0.524 0.525
N15 0.602 0.975 0.503
Si14 0.394 0.469 0.040
N16 0.017 0.526 0.706
N17 0.502 0.888 0.294
Si15 0.822 0.209 0.740
Si16 0.034 0.632 0.567
Si17 0.749 0.152 0.043
N18 0.955 0.873 0.294
Si18 0.882 0.023 0.247
N19 0.883 0.073 0.089
N20 0.603 0.465 0.259
N21 0.599 0.081 0.086
N22 0.235 0.999 0.317
N23 0.085 0.632 0.164
Si19 0.443 0.974 0.555
N24 0.983 0.801 0.040
Si20 0.039 0.908 0.688
N25 0.567 0.289 0.552
N26 0.823 0.131 0.595
N27 0.176 0.645 0.461
N28 0.726 0.980 0.283
N29 0.542 0.193 0.301
Si21 0.319 0.677 0.535
N30 0.346 0.842 0.510
N31 0.363 0.579 0.215
N32 0.373 0.357 0.365
Si22 0.914 0.870 0.468
N33 0.288 0.799 0.222
Si23 0.654 0.393 0.623
N34 0.759 0.760 0.414
Si24 0.581 0.317 0.188
Si25 0.197 0.598 0.287
N35 0.999 0.331 0.519
N36 0.761 0.902 0.975
N37 0.479 0.841 0.037
N38 0.753 0.145 0.875
Si26 0.672 0.782 0.726
Si27 0.470 0.240 0.445
N39 0.800 0.555 0.887
Si28 0.453 0.498 0.334
N40 0.158 0.204 0.917
Si29 0.095 0.696 0.984
N41 0.080 0.093 0.511
Si30 0.872 0.306 0.243
N42 0.933 0.571 0.454
N43 0.853 0.598 0.186
Si31 0.203 0.133 0.053
N44 0.042 0.967 0.536
N45 0.706 0.508 0.995
N46 0.128 0.444 0.312
N47 0.371 0.259 0.754
Si32 0.146 0.347 0.991
N48 0.106 0.999 0.076
Si33 0.952 0.740 0.191
Si34 0.589 0.054 0.247
Si35 0.619 0.557 0.868
Si36 0.335 0.885 0.355
N49 0.742 0.276 0.145
N50 0.264 0.449 0.941
N51 0.570 0.488 0.733
N52 0.969 0.772 0.613
Si37 0.947 0.182 0.488
Si38 0.220 0.121 0.419
Si39 0.452 0.754 0.183
N53 0.008 0.433 0.986
N54 0.193 0.273 0.136
Si40 0.957 0.380 0.669
N55 0.579 0.739 0.618
N56 0.369 0.109 0.494
Si41 0.227 0.311 0.297
N57 0.454 0.249 0.815
N58 0.534 0.006 0.857
Si42 0.531 0.589 0.605
Si43 0.649 0.872 0.384
N59 0.983 0.989 0.834
N60 0.983 0.245 0.755
Si44 0.699 0.994 0.858
Si45 0.778 0.614 0.452

***

Model two:
Density functional theory data (PBE) for a relaxed Si3N4 crystal.

Computed properties:
Size of the total moment = 0.000 μB per cell
SG = Fd-3m (227)

Lattice parameters (Å, degrees): 5.507 5.507 5.507 60.00 60.00 60.00
Atoms (fractional coordinates):
N1 0.397 0.868 0.868
N2 0.382 0.382 0.853
Si1 0.000 0.000 0.000
Si2 0.125 0.625 0.625
N3 0.382 0.382 0.382
Si3 0.625 0.625 0.625
N4 0.853 0.382 0.382
N5 0.868 0.868 0.397
N6 0.868 0.868 0.868
Si4 0.625 0.625 0.125
Si5 0.250 0.250 0.250
N7 0.868 0.397 0.868
N8 0.382 0.853 0.382
Si6 0.625 0.125 0.625

***

Model three:
Density functional theory data (PBE) for a relaxed Si3N4 crystal.

Computed properties:
Size of the total moment = 0.001 μB per cell
SG = P31c (159)

Lattice parameters (Å, degrees): 7.415 7.415 6.251 90.00 90.00 120.00
Atoms (fractional coordinates):
N1 0.660 0.620 0.520
Si1 0.620 0.511 0.252
N2 0.380 0.040 0.520
N3 0.355 0.304 0.258
N4 0.949 0.645 0.258
N5 0.040 0.380 0.020
N6 0.051 0.696 0.758
N7 0.000 0.000 0.181
Si2 0.380 0.890 0.752
Si3 0.064 0.827 0.031
N8 0.645 0.949 0.758
N9 0.340 0.960 0.020
Si4 0.763 0.936 0.031
Si5 0.936 0.763 0.531
Si6 0.890 0.380 0.252
N10 0.000 0.000 0.384
N11 0.696 0.051 0.258
Si7 0.511 0.620 0.752
N12 0.000 0.000 0.681
Si8 0.827 0.064 0.531
Si9 0.489 0.110 0.252
N13 0.620 0.660 0.020
N14 0.960 0.340 0.520
N15 0.000 0.000 0.884
Si10 0.110 0.489 0.752
Si11 0.237 0.173 0.531
Si12 0.173 0.237 0.031
N16 0.304 0.355 0.758

***

Model four:
Density functional theory data (PBE) for a relaxed Si3N4 crystal.

Computed properties:
Size of the total moment = 0.003 μB per cell
SG = Pnma (62)

Lattice parameters (Å, degrees): 4.576 5.578 9.524 90.00 90.00 90.00
Atoms (fractional coordinates):
N1 0.812 0.250 0.908
N2 0.242 0.495 0.337
N3 0.743 0.750 0.929
N4 0.312 0.750 0.592
Si1 0.009 0.750 0.274
N5 0.243 0.250 0.571
Si2 0.940 0.750 0.592
N6 0.257 0.250 0.071
Si3 0.500 0.000 0.500
N7 0.758 0.995 0.663
N8 0.742 0.505 0.163
N9 0.258 0.005 0.837
Si4 0.000 0.000 0.000
N10 0.242 0.005 0.337
Si5 0.500 0.500 0.500
Si6 0.991 0.250 0.726
Si7 0.560 0.750 0.092
Si8 0.440 0.250 0.908
N11 0.742 0.995 0.163
Si9 0.000 0.500 0.000
Si10 0.060 0.250 0.408
N12 0.188 0.750 0.092
N13 0.688 0.250 0.408
N14 0.258 0.495 0.837
Si11 0.491 0.750 0.774
Si12 0.509 0.250 0.226
N15 0.758 0.505 0.663
N16 0.757 0.750 0.429

***

Top of the stability list: model two, leading by 0.141 eV/atom.